Crystalline Li3Co2C4O12 at its relaxed geometry, computed with PBE+U.

## Properties
**Crystal system**: triclinic
**V**: 12.0 Å³ per atom
**Polymorph energy (0 for the lowest one)**: 0 meV per atom
**Formation energy**: -1.8555 eV per atom
**Final energy**: -6.842 eV per atom

Structure (POSCAR):
```
Li3Co2C4O12
1.0
-0.8752 4.2102 -4.7245
8.5923 0.0764 -0.0347
-2.8610 -8.3341 -4.5692
Li Co C O
6 4 8 24
Cartesian
1.1416 -1.8917 -3.6381
-0.6584 -3.9249 -8.3625
3.0284 -2.7770 -7.0552
4.8943 -0.6568 -2.4150
5.7886 -4.1766 -2.7598
6.6600 2.1731 -2.7992
-2.1006 -2.3845 -5.2615
3.0121 1.4907 -4.0895
-0.2466 -0.2768 -0.6546
2.2003 -4.7631 -3.8225
0.7269 2.0495 -4.1553
-0.2082 -4.2770 -4.0877
0.0970 -2.0459 -6.4118
1.9672 0.0072 -1.8453
4.0942 -2.6705 -4.4303
5.0502 3.5748 -4.5999
4.2125 -5.8981 -4.8617
5.2732 0.3321 -4.8929
-0.5054 2.3521 -4.1764
-1.4674 -4.0636 -4.2215
0.4912 -3.7585 -3.1175
1.5431 2.4492 -3.2053
-0.0026 -1.7509 -5.1751
1.9414 0.2823 -0.5995
0.8776 -0.4702 -2.3782
-0.9278 -2.5767 -7.0000
1.2187 -1.8437 -7.0777
3.0431 0.1630 -2.5866
1.3313 1.3419 -5.0629
0.4814 -5.0075 -4.9080
2.8657 -2.9084 -4.0429
3.8017 3.3242 -4.3040
4.3653 -5.4447 -3.6427
5.5786 0.7487 -3.7229
4.4429 -2.8234 -5.6639
6.3611 -0.7978 -1.0825
4.0533 0.5681 -5.3532
3.0518 -5.6532 -5.4188
4.9985 -2.2856 -3.5857
3.0221 -4.3314 -8.2750
5.0884 -6.5505 -5.5181
6.0313 -0.3292 -5.6908
```

=====

Crystalline Li3Co2C4O12 at its relaxed geometry, computed with PBE+U.

## Properties
**Crystal system**: triclinic
**V**: 11.7 Å³ per atom
**Polymorph energy (0 for the lowest one)**: 26 meV per atom
**Formation energy**: -1.8300 eV per atom
**Final energy**: -6.816 eV per atom

Structure (POSCAR):
```
Li3Co2C4O12
1.0
5.6050 0.0000 0.0000
-2.7251 -5.4423 0.0000
-2.1465 0.3004 -8.0490
Li Co C O
3 2 4 12
Cartesian
-0.6059 -4.8208 -2.7103
-0.5718 -0.2840 -5.2515
-1.7848 -3.0980 -6.9448
5.1074 -0.1443 -0.0816
1.3853 -2.5436 -4.0137
0.5258 -2.2624 -1.7283
2.0747 -4.8206 -2.4150
2.0993 -0.2550 -5.5996
0.7664 -2.9557 -6.3833
0.0700 -2.0841 -0.5381
-2.3572 -4.9806 -1.9328
1.0667 -5.0908 -1.6489
-0.2379 -2.6474 -2.7217
1.7602 -2.0586 -2.0559
1.8924 -4.4291 -3.6601
1.9305 -0.6679 -4.3573
-0.0753 -2.4936 -5.4705
2.0038 -3.0337 -6.0030
1.1105 0.2234 -6.2597
3.2776 -0.3424 -6.1342
0.3220 -3.3225 -7.5129
```